Computed, not measured: crystalline Li4Nb3V2Co3O16 at its relaxed geometry at the PBE with a Hubbard U level of DFT.

Structure (extended XYZ):
```
28
Lattice="1.511 -4.188 4.061 3.837 -4.377 -1.563 7.546 5.541 2.935" Properties=species:S:1:pos:R:3 pbc="T T T"
Li 2.539 -2.301 1.127
Li 0.037 -0.022 0.016
Li 9.112 -5.490 3.952
Li 8.151 -2.315 3.449
Nb 6.792 2.657 2.720
Nb 4.781 -3.455 3.699
Nb 5.915 -3.547 0.959
V 5.775 -0.180 2.395
V 11.151 -0.314 4.623
Co 7.706 0.783 4.673
Co 8.773 0.697 2.093
Co 6.491 -5.409 2.866
O 4.755 -1.426 3.611
O 7.553 -0.522 3.141
O 8.555 2.195 3.465
O 5.367 3.855 2.091
O 1.460 0.977 0.571
O 5.882 -1.517 0.887
O 5.786 1.464 3.813
O 6.822 1.380 1.307
O 11.326 -2.046 4.753
O 3.919 0.655 1.599
O 4.490 -5.434 3.466
O 5.497 -5.515 1.032
O 6.601 -3.352 2.842
O 9.543 -0.021 5.459
O 4.034 -3.528 1.786
O 10.609 -0.108 2.881
```

SG   No. 8
Crystal system   monoclinic
VASP energy   -7.244 eV/atom
Formation enthalpy at 0 K   -2341 meV/atom